# UBrO2 (r2SCAN, relaxed)
data_UBrO2
_chemical_formula_sum 'U2 Br2 O4'
_space_group_name_H-M_alt 'P 1'
_space_group_IT_number 1
_space_group_name_Hall 'P 1'
_cell_length_a 10.545
_cell_length_b 10.545
_cell_length_c 4.033
_cell_angle_alpha 90.00
_cell_angle_beta 90.00
_cell_angle_gamma 157.48
loop_
_atom_site_label
_atom_site_fract_x
_atom_site_fract_y
_atom_site_fract_z
_atom_site_occupancy
U1 0.075 0.925 0.750 1
U2 0.925 0.075 0.250 1
Br1 0.180 0.820 0.250 1
Br2 0.820 0.180 0.750 1
O1 0.035 0.965 0.250 1
O2 0.426 0.574 0.250 1
O3 0.574 0.426 0.750 1
O4 0.965 0.035 0.750 1
# V = 21.47 Å³/atom
# ΔE_f = -12.05 eV per formula unit
# electronic total energy = -1.0767 Ha/atom
# total magnetic moment = 0.25 μB/atom



# VBrO (r2SCAN, relaxed)
data_VBrO
_chemical_formula_sum 'V2 Br2 O2'
_space_group_name_H-M_alt 'P 1'
_space_group_IT_number 1
_space_group_name_Hall 'P 1'
_cell_length_a 3.428
_cell_length_b 3.777
_cell_length_c 8.705
_cell_angle_alpha 90.00
_cell_angle_beta 90.00
_cell_angle_gamma 90.00
loop_
_atom_site_label
_atom_site_fract_x
_atom_site_fract_y
_atom_site_fract_z
_atom_site_occupancy
V1 0.250 0.250 0.103 1
V2 0.750 0.750 0.897 1
Br1 0.250 0.750 0.684 1
Br2 0.750 0.250 0.316 1
O1 0.250 0.750 0.037 1
O2 0.750 0.250 0.963 1
# V = 18.79 Å³/atom
# ΔE_f = -5.95 eV per formula unit
# electronic total energy = -0.4811 Ha/atom
# total magnetic moment = 0.67 μB/atom



# OsBr4 (r2SCAN, relaxed)
data_OsBr4
_chemical_formula_sum 'Os8 Br32'
_space_group_name_H-M_alt 'P 1'
_space_group_IT_number 1
_space_group_name_Hall 'P 1'
_cell_length_a 6.382
_cell_length_b 12.598
_cell_length_c 14.899
_cell_angle_alpha 90.00
_cell_angle_beta 90.00
_cell_angle_gamma 90.00
loop_
_atom_site_label
_atom_site_fract_x
_atom_site_fract_y
_atom_site_fract_z
_atom_site_occupancy
Os1 0.097 0.130 0.183 1
Os2 0.097 0.370 0.683 1
Os3 0.403 0.630 0.183 1
Os4 0.403 0.870 0.683 1
Os5 0.597 0.130 0.317 1
Os6 0.597 0.370 0.817 1
Os7 0.903 0.630 0.317 1
Os8 0.903 0.870 0.817 1
Br1 0.050 0.749 0.426 1
Br2 0.050 0.751 0.926 1
Br3 0.071 0.738 0.190 1
Br4 0.071 0.762 0.690 1
Br5 0.233 0.521 0.310 1
Br6 0.233 0.979 0.810 1
Br7 0.245 0.010 0.074 1
Br8 0.245 0.490 0.574 1
Br9 0.255 0.510 0.074 1
Br10 0.255 0.990 0.574 1
Br11 0.267 0.021 0.310 1
Br12 0.267 0.479 0.810 1
Br13 0.429 0.238 0.190 1
Br14 0.429 0.262 0.690 1
Br15 0.450 0.249 0.426 1
Br16 0.450 0.251 0.926 1
Br17 0.550 0.749 0.074 1
Br18 0.550 0.751 0.574 1
Br19 0.571 0.738 0.310 1
Br20 0.571 0.762 0.810 1
Br21 0.733 0.521 0.190 1
Br22 0.733 0.979 0.690 1
Br23 0.745 0.010 0.426 1
Br24 0.745 0.490 0.926 1
Br25 0.755 0.510 0.426 1
Br26 0.755 0.990 0.926 1
Br27 0.767 0.021 0.190 1
Br28 0.767 0.479 0.690 1
Br29 0.929 0.238 0.310 1
Br30 0.929 0.262 0.810 1
Br31 0.950 0.249 0.074 1
Br32 0.950 0.251 0.574 1
# V = 29.95 Å³/atom
# ΔE_f = -1.08 eV per formula unit
# electronic total energy = -0.7872 Ha/atom
# total magnetic moment = 0.40 μB/atom